Record 1
Er3Cu4Sn4 | r2SCAN | relaxed

Computed properties:
**V**: 221.0 Å³/cell
**Total energy**: -22.73 eV per atom
**SG**: C2/m (12)
**Energy of formation**: -0.536 eV/atom

Cell: 4.403 6.898 8.307 Å, 113.74 105.37 90.00°
Positions (direct):
Cu  0.316  0.623  0.632
Sn  0.490  0.693  0.979
Sn  0.782  0.801  0.565
Er  0.000  0.000  0.000
Er  0.869  0.355  0.738
Sn  0.218  0.199  0.435
Cu  0.342  0.022  0.684
Sn  0.510  0.307  0.021
Cu  0.684  0.377  0.368
Cu  0.658  0.978  0.316
Er  0.131  0.645  0.262

***

Record 2
CaPdF6 | r2SCAN | relaxed

Computed properties:
**V**: 112.0 Å³/cell
**Total energy**: -8.59 eV per atom
**SG**: R-3 (148)
**Energy of formation**: -2.494 eV/atom

Cell: 5.722 5.722 5.722 Å, 53.39 53.39 53.39°
Positions (direct):
F  0.384  0.064  0.782
Ca  0.500  0.500  0.500
F  0.616  0.936  0.218
F  0.936  0.218  0.616
F  0.218  0.616  0.936
Pd  0.000  0.000  0.000
F  0.064  0.782  0.384
F  0.782  0.384  0.064

***

Record 3
Al2OsRh | r2SCAN | relaxed

Computed properties:
**V**: 53.3 Å³/cell
**Total energy**: -23.51 eV per atom
**SG**: Fm-3m (225)
**Energy of formation**: -0.860 eV/atom

Cell: 4.224 4.224 4.224 Å, 60.00 60.00 60.00°
Positions (direct):
Rh  0.000  0.000  0.000
Al  0.750  0.750  0.750
Os  0.500  0.500  0.500
Al  0.250  0.250  0.250

***

Record 4
CsAuSe | r2SCAN | relaxed

Computed properties:
**V**: 221.7 Å³/cell
**Total energy**: -30.89 eV per atom
**SG**: Cmcm (63)
**Energy of formation**: -0.892 eV/atom

Cell: 5.645 5.645 7.070 Å, 90.00 90.00 100.28°
Positions (direct):
Au  0.000  0.000  0.000
Cs  0.632  0.368  0.250
Se  0.806  0.194  0.750
Se  0.194  0.806  0.250
Au  0.000  0.000  0.500
Cs  0.368  0.632  0.750

***

Record 5
Bi4I | r2SCAN | relaxed

Computed properties:
**V**: 769.9 Å³/cell
**Total energy**: -51.83 eV per atom
**SG**: C2/m (12)
**Energy of formation**: -0.121 eV/atom

Cell: 4.454 13.437 13.408 Å, 103.18 90.00 99.54°
Positions (direct):
Bi  0.437  0.874  0.633
Bi  0.113  0.226  0.116
Bi  0.536  0.073  0.131
Bi  0.211  0.422  0.629
I  0.732  0.464  0.139
Bi  0.632  0.263  0.637
Bi  0.464  0.927  0.869
Bi  0.342  0.683  0.130
Bi  0.919  0.838  0.118
Bi  0.658  0.317  0.870
Bi  0.563  0.126  0.367
Bi  0.368  0.737  0.363
Bi  0.014  0.027  0.618
I  0.820  0.639  0.608
I  0.268  0.536  0.861
Bi  0.789  0.578  0.371
Bi  0.081  0.162  0.882
I  0.180  0.361  0.392
Bi  0.887  0.774  0.884
Bi  0.986  0.973  0.382

***

Record 6
PrMgNi4 | r2SCAN | relaxed

Computed properties:
**V**: 87.6 Å³/cell
**Total energy**: -13.83 eV per atom
**SG**: F-43m (216)
**Energy of formation**: -0.244 eV/atom

Cell: 4.984 4.984 4.984 Å, 60.00 60.00 60.00°
Positions (direct):
Ni  0.623  0.623  0.130
Pr  0.000  0.000  0.000
Mg  0.250  0.250  0.250
Ni  0.623  0.623  0.623
Ni  0.623  0.130  0.623
Ni  0.130  0.623  0.623

***

Record 7
GdZr3F15 | r2SCAN | relaxed

Computed properties:
**V**: 509.1 Å³/cell
**Total energy**: -12.44 eV per atom
**SG**: C2/c (15)
**Energy of formation**: -4.099 eV/atom

Cell: 8.133 8.133 8.122 Å, 79.85 79.85 99.87°
Positions (direct):
F  0.968  0.032  0.750
F  0.148  0.182  0.946
F  0.510  0.772  0.722
Gd  0.322  0.678  0.250
F  0.228  0.490  0.778
F  0.565  0.691  0.355
F  0.691  0.565  0.855
F  0.724  0.996  0.275
F  0.996  0.724  0.775
Zr  0.822  0.756  0.325
Zr  0.244  0.178  0.175
F  0.965  0.344  0.681
F  0.276  0.004  0.725
Zr  0.178  0.244  0.675
F  0.818  0.852  0.554
F  0.784  0.272  0.998
F  0.728  0.216  0.502
Zr  0.746  0.254  0.250
F  0.550  0.753  0.028
F  0.004  0.276  0.225
F  0.490  0.228  0.278
F  0.435  0.309  0.645
F  0.772  0.510  0.222
F  0.450  0.247  0.972
F  0.309  0.435  0.145
F  0.272  0.784  0.498
Zr  0.756  0.822  0.825
F  0.216  0.728  0.002
Gd  0.678  0.322  0.750
F  0.035  0.656  0.319
F  0.032  0.968  0.250
Zr  0.254  0.746  0.750
F  0.852  0.818  0.054
F  0.753  0.550  0.528
F  0.344  0.965  0.181
F  0.247  0.450  0.472
F  0.656  0.035  0.819
F  0.182  0.148  0.446

***

Record 8
SrFeNi2P3O12 | r2SCAN | relaxed

Computed properties:
**V**: 442.5 Å³/cell
**Total energy**: -10.31 eV per atom
**SG**: Imma (74)
**Energy of formation**: -2.304 eV/atom

Cell: 8.973 8.973 8.973 Å, 137.52 109.38 86.02°
Positions (direct):
O  0.076  0.798  0.146
O  0.156  0.604  0.449
O  0.356  0.201  0.569
Sr  0.250  0.340  0.090
O  0.632  0.020  0.151
Ni  0.116  0.116  0.500
P  0.822  0.322  0.000
O  0.344  0.793  0.449
O  0.368  0.799  0.155
O  0.844  0.396  0.551
Fe  0.000  0.500  0.500
Ni  0.384  0.884  0.000
O  0.348  0.202  0.277
O  0.144  0.713  0.845
O  0.856  0.287  0.155
P  0.678  0.678  0.500
O  0.132  0.287  0.431
P  0.250  0.835  0.585
O  0.868  0.020  0.388
O  0.848  0.570  0.146
O  0.924  0.202  0.854
Ni  0.884  0.884  0.500
O  0.868  0.713  0.569
P  0.178  0.678  0.000
O  0.368  0.980  0.849
O  0.152  0.430  0.854
Ni  0.616  0.116  0.000
O  0.656  0.207  0.551
O  0.632  0.201  0.845
O  0.132  0.980  0.612
P  0.750  0.165  0.415
O  0.652  0.798  0.723
O  0.644  0.799  0.431
O  0.424  0.570  0.723
P  0.322  0.322  0.500
O  0.576  0.430  0.277
Sr  0.750  0.660  0.910
Fe  0.500  0.000  0.500

***

Record 9
NaAsO2 | r2SCAN | relaxed

Computed properties:
**V**: 493.2 Å³/cell
**Total energy**: -9.20 eV per atom
**SG**: Pbca (61)
**Energy of formation**: -1.648 eV/atom

Cell: 5.055 6.786 14.378 Å, 90.00 90.00 90.00°
Positions (direct):
O  0.577  0.193  0.119
O  0.787  0.071  0.912
O  0.423  0.807  0.881
O  0.213  0.929  0.088
As  0.231  0.604  0.829
O  0.577  0.693  0.381
O  0.713  0.571  0.088
O  0.787  0.571  0.588
As  0.731  0.896  0.829
As  0.769  0.896  0.329
O  0.213  0.429  0.412
O  0.077  0.807  0.381
O  0.713  0.071  0.412
Na  0.248  0.602  0.554
As  0.269  0.604  0.329
O  0.287  0.929  0.588
O  0.077  0.307  0.119
As  0.769  0.396  0.171
Na  0.748  0.398  0.946
As  0.231  0.104  0.671
Na  0.752  0.398  0.446
Na  0.748  0.898  0.554
Na  0.252  0.102  0.446
Na  0.248  0.102  0.946
O  0.287  0.429  0.912
O  0.923  0.693  0.881
O  0.923  0.193  0.619
As  0.269  0.104  0.171
O  0.423  0.307  0.619
Na  0.252  0.602  0.054
As  0.731  0.396  0.671
Na  0.752  0.898  0.054

***

Record 10
H3S | r2SCAN | relaxed

Computed properties:
**V**: 447.6 Å³/cell
**Total energy**: -4.72 eV per atom
**SG**: P1 (1)
**Energy of formation**: -0.118 eV/atom

Cell: 6.656 8.143 8.258 Å, 89.98 90.28 89.89°
Positions (direct):
H  0.752  0.663  0.102
S  0.248  0.613  0.263
H  0.922  0.344  0.258
H  0.272  0.683  0.118
H  0.550  0.474  0.633
S  0.290  0.778  0.753
H  0.423  0.530  0.254
H  0.526  0.938  0.140
H  0.006  0.485  0.555
H  0.789  0.962  0.824
H  0.738  0.229  0.112
H  0.610  0.792  0.509
H  0.262  0.618  0.790
H  0.293  0.234  0.801
H  0.114  0.787  0.673
H  0.049  0.992  0.134
S  0.790  0.122  0.784
H  0.994  0.416  0.614
H  0.628  0.107  0.687
S  0.736  0.281  0.267
H  0.905  0.539  0.943
H  0.009  0.923  0.084
S  0.785  0.793  0.428
S  0.745  0.639  0.941
H  0.100  0.095  0.544
H  0.283  0.961  0.417
S  0.271  0.120  0.462
H  0.772  0.954  0.393
H  0.431  0.380  0.952
H  0.464  0.985  0.081
S  0.247  0.315  0.938
H  0.550  0.414  0.565

***

Record 11
BaSn2S5 | r2SCAN | relaxed

Computed properties:
**V**: 837.1 Å³/cell
**Total energy**: -15.50 eV per atom
**SG**: Pccn (56)
**Energy of formation**: -0.984 eV/atom

Cell: 6.706 10.757 11.603 Å, 90.00 90.00 90.00°
Positions (direct):
S  0.050  0.972  0.853
S  0.250  0.750  0.650
S  0.250  0.750  0.150
Ba  0.750  0.750  0.200
Sn  0.247  0.559  0.527
S  0.050  0.528  0.353
Sn  0.753  0.059  0.973
S  0.571  0.634  0.436
Sn  0.753  0.441  0.473
S  0.550  0.028  0.647
S  0.450  0.528  0.853
S  0.550  0.472  0.147
S  0.429  0.134  0.064
Sn  0.247  0.941  0.027
S  0.950  0.472  0.647
Ba  0.750  0.750  0.700
S  0.929  0.866  0.436
S  0.929  0.634  0.936
S  0.950  0.028  0.147
S  0.750  0.250  0.350
S  0.750  0.250  0.850
S  0.071  0.366  0.064
Sn  0.747  0.059  0.473
S  0.429  0.366  0.564
S  0.071  0.134  0.564
S  0.571  0.866  0.936
Sn  0.253  0.559  0.027
S  0.450  0.972  0.353
Ba  0.250  0.250  0.300
Ba  0.250  0.250  0.800
Sn  0.253  0.941  0.527
Sn  0.747  0.441  0.973

***

Record 12
InPb2F7 | r2SCAN | relaxed

Computed properties:
**V**: 585.2 Å³/cell
**Total energy**: -18.37 eV per atom
**SG**: P2_1/c (14)
**Energy of formation**: -2.666 eV/atom

Cell: 12.445 5.590 8.413 Å, 89.65 90.00 90.00°
Positions (direct):
In  0.125  0.277  0.216
F  0.603  0.512  0.075
F  0.897  0.512  0.575
F  0.397  0.488  0.925
F  0.103  0.488  0.425
F  0.959  0.197  0.215
F  0.428  0.618  0.624
Pb  0.783  0.230  0.055
In  0.625  0.723  0.284
F  0.459  0.803  0.285
F  0.364  0.183  0.473
Pb  0.439  0.237  0.176
F  0.606  0.985  0.090
F  0.270  0.483  0.206
F  0.255  0.012  0.197
F  0.755  0.988  0.303
Pb  0.061  0.237  0.676
Pb  0.283  0.770  0.445
F  0.745  0.988  0.803
F  0.730  0.517  0.794
F  0.394  0.015  0.910
Pb  0.717  0.230  0.555
F  0.894  0.985  0.590
F  0.041  0.803  0.785
In  0.875  0.723  0.784
F  0.864  0.817  0.027
F  0.245  0.012  0.697
F  0.230  0.483  0.706
F  0.541  0.197  0.715
F  0.572  0.382  0.376
Pb  0.561  0.763  0.824
F  0.636  0.817  0.527
F  0.136  0.183  0.973
F  0.928  0.382  0.876
F  0.106  0.015  0.410
Pb  0.939  0.763  0.324
Pb  0.217  0.770  0.945
F  0.770  0.517  0.294
In  0.375  0.277  0.716
F  0.072  0.618  0.124